(w)
A relaxed Sr5Ta4O15 crystal. Source: Materials Project, functional r2SCAN.

## Properties
crystal system	trigonal
symmetry	P-3m1
magnetization	0.0	μB per formula unit

Unit cell a=5.669 b=5.669 c=11.543 alpha=90.00 beta=90.00 gamma=120.00
Fractional coordinates of all 24 atoms:
1 Sr 0.333 0.667 0.440
2 Sr 0.333 0.667 0.778
3 Sr 0.000 0.000 0.000
4 Sr 0.667 0.333 0.222
5 Sr 0.667 0.333 0.560
6 Ta 0.333 0.667 0.105
7 Ta 0.000 0.000 0.318
8 Ta 0.000 0.000 0.682
9 Ta 0.667 0.333 0.895
10 O 0.169 0.831 0.609
11 O 0.000 0.500 0.000
12 O 0.165 0.835 0.193
13 O 0.165 0.330 0.193
14 O 0.169 0.338 0.609
15 O 0.338 0.169 0.391
16 O 0.670 0.835 0.193
17 O 0.500 0.500 0.000
18 O 0.330 0.165 0.807
19 O 0.662 0.831 0.609
20 O 0.500 0.000 0.000
21 O 0.835 0.670 0.807
22 O 0.831 0.662 0.391
23 O 0.835 0.165 0.807
24 O 0.831 0.169 0.391

=====

(x)
A relaxed Sr5Ta4O15 crystal. Source: Materials Project, functional r2SCAN.

## Properties
crystal system	trigonal
symmetry	P-3c1
magnetization	0.0	μB per formula unit

Unit cell a=5.671 b=5.671 c=23.062 alpha=90.00 beta=90.00 gamma=120.00
Fractional coordinates of all 48 atoms:
1 Sr 0.333 0.667 0.640
2 Sr 0.333 0.667 0.972
3 Sr 0.000 0.000 0.750
4 Sr 0.000 0.000 0.250
5 Sr 0.333 0.667 0.472
6 Sr 0.333 0.667 0.140
7 Sr 0.667 0.333 0.528
8 Sr 0.667 0.333 0.860
9 Sr 0.667 0.333 0.028
10 Sr 0.667 0.333 0.360
11 Ta 0.333 0.667 0.802
12 Ta 0.000 0.000 0.592
13 Ta 0.000 0.000 0.908
14 Ta 0.000 0.000 0.092
15 Ta 0.000 0.000 0.408
16 Ta 0.333 0.667 0.302
17 Ta 0.667 0.333 0.698
18 Ta 0.667 0.333 0.198
19 O 0.101 0.769 0.056
20 O 0.121 0.790 0.846
21 O 0.000 0.541 0.250
22 O 0.000 0.459 0.750
23 O 0.210 0.879 0.346
24 O 0.231 0.899 0.556
25 O 0.101 0.332 0.556
26 O 0.121 0.331 0.346
27 O 0.210 0.331 0.846
28 O 0.231 0.332 0.056
29 O 0.332 0.231 0.444
30 O 0.668 0.899 0.056
31 O 0.669 0.879 0.846
32 O 0.331 0.210 0.654
33 O 0.459 0.459 0.250
34 O 0.541 0.541 0.750
35 O 0.669 0.790 0.346
36 O 0.331 0.121 0.154
37 O 0.332 0.101 0.944
38 O 0.668 0.769 0.556
39 O 0.769 0.668 0.944
40 O 0.790 0.669 0.154
41 O 0.459 0.000 0.750
42 O 0.541 0.000 0.250
43 O 0.879 0.669 0.654
44 O 0.899 0.668 0.444
45 O 0.769 0.101 0.444
46 O 0.790 0.121 0.654
47 O 0.879 0.210 0.154
48 O 0.899 0.231 0.944

=====

It turns out (x) is the most stable, with the second structure 1.3 kJ/mol of atoms higher.

=====

(w)
A relaxed Y3TaO7 crystal. Source: Materials Project, functional r2SCAN.

## Properties
crystal system	triclinic
symmetry	P1
magnetization	0.0	μB per formula unit

Unit cell a=5.365 b=7.467 c=8.204 alpha=63.78 beta=87.23 gamma=88.42
Fractional coordinates of all 22 atoms:
1 Y 0.989 0.015 0.974
2 Y 0.056 0.521 0.995
3 Y 0.539 0.599 0.241
4 Y 0.959 0.726 0.506
5 Y 0.497 0.125 0.239
6 Y 0.992 0.228 0.463
7 Ta 0.491 0.889 0.776
8 Ta 0.503 0.405 0.720
9 O 0.284 0.263 0.949
10 O 0.271 0.783 0.024
11 O 0.759 0.764 0.947
12 O 0.745 0.879 0.230
13 O 0.770 0.355 0.209
14 O 0.164 0.991 0.375
15 O 0.270 0.382 0.245
16 O 0.655 0.137 0.795
17 O 0.745 0.469 0.497
18 O 0.273 0.508 0.523
19 O 0.335 0.667 0.749
20 O 0.786 0.499 0.792
21 O 0.683 0.969 0.548
22 O 0.211 0.071 0.708

=====

(x)
A relaxed Y3TaO7 crystal. Source: Materials Project, functional r2SCAN.

## Properties
crystal system	orthorhombic
symmetry	C222_1
magnetization	0.0	μB per formula unit

Unit cell a=6.449 b=6.449 c=7.437 alpha=90.00 beta=90.00 gamma=108.90
Fractional coordinates of all 22 atoms:
1 Y 0.000 0.535 0.242
2 Y 0.000 0.465 0.742
3 Y 0.535 0.000 0.758
4 Y 0.465 0.000 0.258
5 Y 0.469 0.469 0.000
6 Y 0.531 0.531 0.500
7 Ta 0.998 0.998 0.000
8 Ta 0.002 0.002 0.500
9 O 0.933 0.067 0.750
10 O 0.067 0.933 0.250
11 O 0.361 0.639 0.250
12 O 0.639 0.361 0.750
13 O 0.371 0.629 0.750
14 O 0.629 0.371 0.250
15 O 0.328 0.082 0.976
16 O 0.672 0.918 0.476
17 O 0.310 0.053 0.542
18 O 0.690 0.947 0.042
19 O 0.053 0.310 0.458
20 O 0.947 0.690 0.958
21 O 0.918 0.672 0.524
22 O 0.082 0.328 0.024

=====

It turns out (x) is the most stable, with the second structure 7.4 kJ/mol of atoms higher.

=====

(w)
A relaxed Tb2WO6 crystal. Source: Materials Project, functional r2SCAN.

## Properties
crystal system	monoclinic
symmetry	P2/c
magnetization	0.0	μB per formula unit

Unit cell a=5.361 b=7.650 c=11.402 alpha=75.60 beta=90.00 gamma=90.00
Fractional coordinates of all 36 atoms:
1 Tb 0.737 0.000 0.750
2 Tb 0.263 0.000 0.250
3 Tb 0.188 0.798 0.577
4 Tb 0.812 0.798 0.077
5 Tb 0.683 0.500 0.750
6 Tb 0.317 0.500 0.250
7 Tb 0.188 0.202 0.923
8 Tb 0.812 0.202 0.423
9 W 0.254 0.722 0.886
10 W 0.746 0.722 0.386
11 W 0.254 0.278 0.614
12 W 0.746 0.278 0.114
13 O 0.039 0.937 0.896
14 O 0.522 0.852 0.930
15 O 0.961 0.937 0.396
16 O 0.462 0.785 0.729
17 O 0.478 0.852 0.430
18 O 0.987 0.710 0.772
19 O 0.538 0.785 0.229
20 O 0.848 0.634 0.547
21 O 0.359 0.491 0.888
22 O 0.013 0.710 0.272
23 O 0.359 0.509 0.612
24 O 0.848 0.366 0.953
25 O 0.152 0.634 0.047
26 O 0.641 0.491 0.388
27 O 0.987 0.290 0.728
28 O 0.641 0.509 0.112
29 O 0.152 0.366 0.453
30 O 0.462 0.215 0.771
31 O 0.013 0.290 0.228
32 O 0.522 0.148 0.570
33 O 0.538 0.215 0.271
34 O 0.039 0.063 0.604
35 O 0.478 0.148 0.070
36 O 0.961 0.063 0.104

=====

(x)
A relaxed Tb2WO6 crystal. Source: Materials Project, functional r2SCAN.

## Properties
crystal system	orthorhombic
symmetry	P2_12_12_1
magnetization	0.0	μB per formula unit

Unit cell a=5.243 b=9.087 c=9.928 alpha=90.00 beta=90.00 gamma=90.00
Fractional coordinates of all 36 atoms:
1 Tb 0.020 0.397 0.034
2 Tb 0.037 0.281 0.628
3 Tb 0.463 0.719 0.128
4 Tb 0.480 0.603 0.534
5 Tb 0.520 0.103 0.966
6 Tb 0.537 0.219 0.372
7 Tb 0.963 0.781 0.872
8 Tb 0.980 0.897 0.466
9 W 0.040 0.005 0.152
10 W 0.460 0.995 0.652
11 W 0.540 0.495 0.848
12 W 0.960 0.505 0.348
13 O 0.081 0.655 0.470
14 O 0.175 0.547 0.204
15 O 0.183 0.863 0.681
16 O 0.192 0.860 0.264
17 O 0.230 0.387 0.433
18 O 0.251 0.090 0.507
19 O 0.249 0.910 0.007
20 O 0.270 0.613 0.933
21 O 0.308 0.140 0.764
22 O 0.317 0.137 0.181
23 O 0.325 0.453 0.704
24 O 0.419 0.345 0.970
25 O 0.581 0.845 0.530
26 O 0.675 0.953 0.796
27 O 0.683 0.637 0.319
28 O 0.692 0.640 0.736
29 O 0.730 0.113 0.567
30 O 0.751 0.410 0.493
31 O 0.749 0.590 0.993
32 O 0.770 0.887 0.067
33 O 0.808 0.360 0.236
34 O 0.817 0.363 0.819
35 O 0.825 0.047 0.296
36 O 0.919 0.155 0.030

=====

It turns out (w) is the most stable, with the second structure 1.3 kJ/mol of atoms higher.

=====

(w)
A relaxed TeO3 crystal. Source: Materials Project, functional r2SCAN.

## Properties
crystal system	trigonal
symmetry	R-3c
magnetization	0.0	μB per formula unit

Unit cell a=5.200 b=5.200 c=5.200 alpha=56.57 beta=56.57 gamma=56.57
Fractional coordinates of all 8 atoms:
1 Te 0.000 0.000 0.000
2 Te 0.500 0.500 0.500
3 O 0.887 0.613 0.250
4 O 0.250 0.887 0.613
5 O 0.613 0.250 0.887
6 O 0.113 0.387 0.750
7 O 0.750 0.113 0.387
8 O 0.387 0.750 0.113

=====

(x)
A relaxed TeO3 crystal. Source: Materials Project, functional r2SCAN.

## Properties
crystal system	orthorhombic
symmetry	Pnma
magnetization	0.0	μB per formula unit

Unit cell a=4.994 b=5.190 c=7.235 alpha=90.00 beta=90.00 gamma=90.00
Fractional coordinates of all 16 atoms:
1 Te 0.000 0.000 0.500
2 Te 0.500 0.500 0.500
3 Te 0.500 0.500 0.000
4 Te 0.000 0.000 0.000
5 O 0.377 0.526 0.250
6 O 0.877 0.974 0.750
7 O 0.123 0.026 0.250
8 O 0.623 0.474 0.750
9 O 0.185 0.309 0.939
10 O 0.685 0.191 0.061
11 O 0.315 0.809 0.561
12 O 0.815 0.691 0.439
13 O 0.185 0.309 0.561
14 O 0.685 0.191 0.439
15 O 0.815 0.691 0.061
16 O 0.315 0.809 0.939

=====

(y)
A relaxed TeO3 crystal. Source: Materials Project, functional r2SCAN.

## Properties
magnetization	0.0	μB per formula unit

Unit cell a=5.167 b=5.167 c=9.789 alpha=84.45 beta=95.55 gamma=60.03
Fractional coordinates of all 16 atoms:
1 Te 0.166 0.666 0.500
2 Te 0.334 0.834 0.000
3 Te 0.666 0.166 0.000
4 Te 0.834 0.334 0.500
5 O 0.162 0.959 0.612
6 O 0.578 0.922 0.887
7 O 0.337 0.541 0.888
8 O 0.041 0.838 0.112
9 O 0.078 0.422 0.387
10 O 0.459 0.663 0.388
11 O 0.541 0.337 0.612
12 O 0.922 0.578 0.613
13 O 0.959 0.162 0.888
14 O 0.663 0.459 0.112
15 O 0.422 0.078 0.113
16 O 0.838 0.041 0.388

=====

It turns out (w) is the most stable, with the second structure 1.6 kJ/mol of atoms higher.

=====

(w)
A relaxed Ti2O crystal. Source: Materials Project, functional r2SCAN.

## Properties
crystal system	trigonal
symmetry	P-3m1
magnetization	0.0	μB per formula unit

Unit cell a=2.954 b=2.954 c=4.822 alpha=90.00 beta=90.00 gamma=120.00
Fractional coordinates of all 3 atoms:
1 Ti 0.333 0.667 0.730
2 Ti 0.667 0.333 0.270
3 O 0.000 0.000 0.000

=====

(x)
A relaxed Ti2O crystal. Source: Materials Project, functional r2SCAN.

## Properties
crystal system	monoclinic
symmetry	P2/m
magnetization	0.0	μB per formula unit

Unit cell a=2.938 b=4.650 c=8.203 alpha=88.01 beta=90.00 gamma=90.00
Fractional coordinates of all 9 atoms:
1 Ti 0.500 0.264 0.085
2 Ti 0.500 0.747 0.572
3 Ti 0.500 0.736 0.915
4 Ti 0.500 0.253 0.428
5 Ti 0.000 0.254 0.757
6 Ti 0.000 0.746 0.243
7 O 0.000 0.291 0.258
8 O 0.000 0.709 0.742
9 O 0.000 0.000 0.000

=====

It turns out (w) is the most stable, with the second structure 6.2 kJ/mol of atoms higher.

=====

(w)
A relaxed Ti3O5 crystal. Source: Materials Project, functional r2SCAN.

## Properties
crystal system	monoclinic
symmetry	C2/m
magnetization	0.0	μB per formula unit

Unit cell a=3.837 b=5.228 c=9.314 alpha=91.07 beta=90.00 gamma=111.53
Fractional coordinates of all 16 atoms:
1 Ti 0.944 0.887 0.639
2 Ti 0.056 0.113 0.361
3 Ti 0.869 0.739 0.955
4 Ti 0.131 0.261 0.045
5 Ti 0.221 0.442 0.737
6 Ti 0.779 0.558 0.263
7 O 0.587 0.175 0.340
8 O 0.413 0.825 0.660
9 O 0.674 0.347 0.055
10 O 0.326 0.653 0.945
11 O 0.871 0.741 0.443
12 O 0.129 0.259 0.557
13 O 0.242 0.484 0.244
14 O 0.758 0.516 0.756
15 O 0.043 0.086 0.846
16 O 0.957 0.914 0.154

=====

(x)
A relaxed Ti3O5 crystal. Source: Materials Project, functional r2SCAN.

## Properties
crystal system	monoclinic
symmetry	C2/m
magnetization	1.0	μB per formula unit

Unit cell a=5.244 b=5.244 c=9.961 alpha=88.26 beta=88.26 gamma=42.33
Fractional coordinates of all 16 atoms:
1 Ti 0.803 0.803 0.756
2 Ti 0.128 0.128 0.949
3 Ti 0.197 0.197 0.244
4 Ti 0.872 0.872 0.051
5 Ti 0.865 0.865 0.435
6 Ti 0.135 0.135 0.565
7 O 0.052 0.052 0.387
8 O 0.323 0.323 0.061
9 O 0.954 0.954 0.868
10 O 0.046 0.046 0.132
11 O 0.677 0.677 0.939
12 O 0.234 0.234 0.749
13 O 0.688 0.688 0.574
14 O 0.766 0.766 0.251
15 O 0.948 0.948 0.613
16 O 0.312 0.312 0.426

=====

It turns out (w) is the most stable, with the second structure 0.6 kJ/mol of atoms higher.